# Na2SnO3

A relaxed structure of Na2SnO3 (PBE-GGA, Materials Project).

Energy of formation   -2054.7 meV per atom

Structure (POSCAR):
```
Na2SnO3
1.0
5.5941 0.0000 0.0000
-2.7970 4.8446 0.0000
0.0000 0.0000 11.1842
Na Sn O
8 4 12
Direct
0.0000 0.0000 0.0000 Na
0.0000 0.0000 0.5000 Na
0.0000 0.3221 0.2500 Na
0.0000 0.6779 0.7500 Na
0.3221 0.0000 0.2500 Na
0.3221 0.3221 0.7500 Na
0.6779 0.0000 0.7500 Na
0.6779 0.6779 0.2500 Na
0.3333 0.6667 0.0000 Sn
0.3333 0.6667 0.5000 Sn
0.6667 0.3333 0.0000 Sn
0.6667 0.3333 0.5000 Sn
0.0000 0.3685 0.6055 O
0.0000 0.3685 0.8945 O
0.0000 0.6315 0.1055 O
0.0000 0.6315 0.3945 O
0.3685 0.0000 0.6055 O
0.3685 0.0000 0.8945 O
0.3685 0.3685 0.1055 O
0.3685 0.3685 0.3945 O
0.6315 0.0000 0.1055 O
0.6315 0.0000 0.3945 O
0.6315 0.6315 0.6055 O
0.6315 0.6315 0.8945 O
```